# 1
Density functional theory data (r²SCAN) for an optimized crystal structure of CaMg3C4O12.

Cell lengths 6.0706, 6.0706, 6.0706 Å; angles 103.17, 103.17, 103.17 degrees
Element x y z (fractional)
Ca 0.0000 0.0000 0.0000
Mg 0.0000 0.4554 0.5446
Mg 0.5446 0.0000 0.4554
Mg 0.4554 0.5446 0.0000
C 0.5000 0.0452 0.9548
C 0.9548 0.5000 0.0452
C 0.0452 0.9548 0.5000
C 0.5000 0.5000 0.5000
O 0.3807 0.1944 0.9737
O 0.0263 0.8056 0.6193
O 0.8056 0.6193 0.0263
O 0.6193 0.0263 0.8056
O 0.6355 0.3645 0.5000
O 0.3645 0.5000 0.6355
O 0.5000 0.6355 0.3645
O 0.9092 0.0908 0.5000
O 0.0908 0.5000 0.9092
O 0.5000 0.9092 0.0908
O 0.1944 0.9737 0.3807
O 0.9737 0.3807 0.1944

Output
The value obtained for the offset from the most stable computed form is 0.1 kJ/mol of atoms. For the total magnetic moment, the calculation gives 0.0 μB/f.u.

# 2
Density functional theory data (r²SCAN) for an optimized crystal structure of CaMgC2O6.

Cell lengths 4.7736, 5.9447, 7.8309 Å; angles 74.76, 90.00, 90.00 degrees
Element x y z (fractional)
Ca 0.0000 0.0000 0.5000
Ca 0.5000 0.5000 0.5000
Mg 0.5000 0.5000 0.0000
Mg 0.0000 0.0000 0.0000
C 0.0090 0.4918 0.7697
C 0.5090 0.0082 0.2303
C 0.9910 0.5082 0.2303
C 0.4910 0.9918 0.7697
O 0.8845 0.6171 0.6310
O 0.3660 0.1426 0.1045
O 0.3845 0.8829 0.3690
O 0.8660 0.3574 0.8955
O 0.2213 0.0025 0.7765
O 0.7213 0.4975 0.2235
O 0.1155 0.3829 0.3690
O 0.6340 0.8574 0.8955
O 0.6155 0.1171 0.6310
O 0.1340 0.6426 0.1045
O 0.7787 0.9975 0.2235
O 0.2787 0.5025 0.7765

Output
For the total magnetic moment, the calculation gives 0.0 μB/f.u.

# 3
Density functional theory data (r²SCAN) for an optimized crystal structure of CaMg3C4O12.

Cell lengths 4.7150, 5.8215, 8.2060 Å; angles 103.87, 89.98, 113.64 degrees
Element x y z (fractional)
Ca 0.0000 0.0000 0.0000
Mg 0.7453 0.5022 0.2565
Mg 0.2547 0.4978 0.7435
Mg 0.5000 0.0000 0.5000
C 0.3625 0.7353 0.1283
C 0.8748 0.7421 0.6175
C 0.1252 0.2579 0.3825
C 0.6375 0.2647 0.8717
O 0.0123 0.7544 0.4822
O 0.4754 0.7283 0.9848
O 0.5288 0.7573 0.2618
O 0.0059 0.7213 0.7468
O 0.3962 0.2492 0.3759
O 0.9112 0.2715 0.8607
O 0.5246 0.2717 0.0152
O 0.9877 0.2456 0.5178
O 0.9941 0.2787 0.2532
O 0.4712 0.2427 0.7382
O 0.0888 0.7285 0.1393
O 0.6038 0.7508 0.6241

Output
The value obtained for the offset from the most stable computed form is 1.0 kJ/mol of atoms. For the total magnetic moment, the calculation gives 0.0 μB/f.u.

no.,DFT total energy (eV/atom),energy of formation (meV per atom)
1,-8.803,-2253
2,-8.985,-2291
3,-8.793,-2243